# Bi2Se4Cl7 (GGA-PBE, optimized geometry)
# Energy relative to the elements = -0.958 eV per atom
# Space-group type = No. 2
# Energy with MP2020 corrections = -3.628 eV per atom
# Calculated total energy = -171.46 eV/cell
data_Bi2Se4Cl7
_chemical_formula_sum 'Bi8 Se16 Cl28'
_space_group_name_H-M_alt 'P 1'
_space_group_IT_number 1
_space_group_name_Hall 'P 1'
_cell_length_a 10.759
_cell_length_b 12.095
_cell_length_c 13.933
_cell_angle_alpha 104.22
_cell_angle_beta 86.27
_cell_angle_gamma 112.10
loop_
_atom_site_label
_atom_site_type_symbol
_atom_site_fract_x
_atom_site_fract_y
_atom_site_fract_z
Se1 Se 0.867 0.603 0.086
Se2 Se 0.462 0.416 0.312
Se3 Se 0.396 0.695 0.712
Se4 Se 0.068 0.487 0.804
Se5 Se 0.641 0.469 0.083
Se6 Se 0.251 0.548 0.581
Se7 Se 0.932 0.513 0.196
Se8 Se 0.133 0.397 0.914
Se9 Se 0.855 0.614 0.340
Se10 Se 0.538 0.584 0.688
Se11 Se 0.359 0.531 0.917
Se12 Se 0.410 0.422 0.764
Se13 Se 0.604 0.305 0.288
Se14 Se 0.145 0.386 0.660
Se15 Se 0.590 0.578 0.236
Se16 Se 0.749 0.452 0.419
Bi1 Bi 0.002 0.832 0.690
Bi2 Bi 0.788 0.953 0.996
Bi3 Bi 0.212 0.047 0.004
Bi4 Bi 0.359 0.844 0.182
Bi5 Bi 0.326 0.062 0.510
Bi6 Bi 0.998 0.168 0.310
Bi7 Bi 0.674 0.938 0.490
Bi8 Bi 0.641 0.156 0.818
Cl1 Cl 0.235 0.204 0.426
Cl2 Cl 0.297 0.615 0.179
Cl3 Cl 0.175 0.874 0.301
Cl4 Cl 0.193 0.242 0.117
Cl5 Cl 0.765 0.796 0.574
Cl6 Cl 0.803 0.152 0.199
Cl7 Cl 0.703 0.385 0.821
Cl8 Cl 0.603 0.803 0.089
Cl9 Cl 0.514 0.272 0.574
Cl10 Cl 0.807 0.758 0.883
Cl11 Cl 0.469 0.989 0.627
Cl12 Cl 0.486 0.728 0.426
Cl13 Cl 0.824 0.904 0.339
Cl14 Cl 0.126 0.798 0.529
Cl15 Cl 0.414 0.081 0.131
Cl16 Cl 0.397 0.197 0.911
Cl17 Cl 0.981 0.942 0.113
Cl18 Cl 0.531 0.011 0.373
Cl19 Cl 0.874 0.202 0.471
Cl20 Cl 0.586 0.919 0.869
Cl21 Cl 0.019 0.058 0.887
Cl22 Cl 0.176 0.096 0.661
Cl23 Cl 0.797 0.228 0.972
Cl24 Cl 0.098 0.401 0.338
Cl25 Cl 0.902 0.599 0.662
Cl26 Cl 0.203 0.772 0.028
Cl27 Cl 0.197 0.848 0.801
Cl28 Cl 0.825 0.126 0.699

# Sb8O11F2 (GGA-PBE, optimized geometry)
# Magnetization = 0.00 μB per cell
# Energy relative to the elements = -1.804 eV per atom
# Space-group type = No. 14
# Energy with MP2020 corrections = -6.151 eV per atom
# Calculated total energy = -241.37 eV/cell
data_Sb8O11F2
_chemical_formula_sum 'Sb16 O22 F4'
_space_group_name_H-M_alt 'P 1'
_space_group_IT_number 1
_space_group_name_Hall 'P 1'
_cell_length_a 4.244
_cell_length_b 10.515
_cell_length_c 18.170
_cell_angle_alpha 88.99
_cell_angle_beta 90.00
_cell_angle_gamma 90.00
loop_
_atom_site_label
_atom_site_type_symbol
_atom_site_fract_x
_atom_site_fract_y
_atom_site_fract_z
O1 O 0.035 0.204 0.245
O2 O 0.588 0.222 0.514
O3 O 0.465 0.204 0.745
O4 O 0.000 0.000 0.500
O5 O 0.496 0.157 0.134
O6 O 0.039 0.678 0.220
O7 O 0.535 0.796 0.255
O8 O 0.500 0.000 0.000
O9 O 0.965 0.796 0.755
O10 O 0.088 0.778 0.986
O11 O 0.909 0.742 0.602
O12 O 0.091 0.258 0.398
O13 O 0.912 0.222 0.014
O14 O 0.539 0.322 0.280
O15 O 0.409 0.258 0.898
O16 O 0.996 0.843 0.366
O17 O 0.504 0.843 0.866
O18 O 0.961 0.322 0.780
O19 O 0.004 0.157 0.634
O20 O 0.591 0.742 0.102
O21 O 0.461 0.678 0.720
O22 O 0.412 0.778 0.486
F1 F 0.517 0.542 0.570
F2 F 0.983 0.542 0.070
F3 F 0.483 0.458 0.430
F4 F 0.017 0.458 0.930
Sb1 Sb 0.779 0.665 0.507
Sb2 Sb 0.721 0.665 0.007
Sb3 Sb 0.313 0.936 0.427
Sb4 Sb 0.221 0.335 0.493
Sb5 Sb 0.016 0.857 0.255
Sb6 Sb 0.052 0.365 0.307
Sb7 Sb 0.984 0.143 0.745
Sb8 Sb 0.484 0.857 0.755
Sb9 Sb 0.279 0.335 0.993
Sb10 Sb 0.187 0.936 0.927
Sb11 Sb 0.813 0.064 0.073
Sb12 Sb 0.687 0.064 0.573
Sb13 Sb 0.516 0.143 0.245
Sb14 Sb 0.552 0.635 0.193
Sb15 Sb 0.448 0.365 0.807
Sb16 Sb 0.948 0.635 0.693

# Gd2Ni17 (GGA-PBE, optimized geometry)
# Magnetization = 5.24 μB per cell
# Energy relative to the elements = 0.404 eV per atom
# Space-group type = No. 194
# Calculated total energy = -237.49 eV/cell
data_Gd2Ni17
_chemical_formula_sum 'Gd4 Ni34'
_space_group_name_H-M_alt 'P 1'
_space_group_IT_number 1
_space_group_name_Hall 'P 1'
_cell_length_a 8.290
_cell_length_b 8.290
_cell_length_c 8.011
_cell_angle_alpha 90.00
_cell_angle_beta 90.00
_cell_angle_gamma 120.00
loop_
_atom_site_label
_atom_site_type_symbol
_atom_site_fract_x
_atom_site_fract_y
_atom_site_fract_z
Ni1 Ni 0.956 0.328 0.750
Ni2 Ni 0.333 0.667 0.398
Ni3 Ni 0.372 0.044 0.750
Ni4 Ni 0.834 0.668 0.479
Ni5 Ni 0.332 0.166 0.479
Ni6 Ni 0.166 0.834 0.979
Ni7 Ni 0.332 0.166 0.021
Ni8 Ni 0.500 0.000 0.500
Ni9 Ni 0.667 0.333 0.602
Ni10 Ni 0.044 0.372 0.250
Ni11 Ni 0.500 0.500 0.500
Ni12 Ni 0.834 0.166 0.021
Ni13 Ni 0.672 0.628 0.750
Ni14 Ni 0.500 0.500 0.000
Ni15 Ni 0.672 0.044 0.750
Ni16 Ni 0.328 0.372 0.250
Ni17 Ni 0.000 0.500 0.000
Ni18 Ni 0.834 0.166 0.479
Ni19 Ni 0.166 0.332 0.979
Ni20 Ni 0.000 0.500 0.500
Ni21 Ni 0.956 0.628 0.750
Ni22 Ni 0.834 0.668 0.021
Ni23 Ni 0.328 0.956 0.250
Ni24 Ni 0.333 0.667 0.102
Ni25 Ni 0.628 0.672 0.250
Ni26 Ni 0.668 0.834 0.521
Ni27 Ni 0.044 0.672 0.250
Ni28 Ni 0.500 0.000 0.000
Ni29 Ni 0.667 0.333 0.898
Ni30 Ni 0.668 0.834 0.979
Ni31 Ni 0.372 0.328 0.750
Ni32 Ni 0.166 0.332 0.521
Ni33 Ni 0.166 0.834 0.521
Ni34 Ni 0.628 0.956 0.250
Gd1 Gd 0.000 0.000 0.250
Gd2 Gd 0.000 0.000 0.750
Gd3 Gd 0.667 0.333 0.250
Gd4 Gd 0.333 0.667 0.750